{
  "formula": "HXeF7",
  "functional": "meta-GGA r2SCAN",
  "state": "relaxed",
  "lattice_angstrom": [[8.1226, 4.6896, 3.8753], [-8.1226, 4.6896, 3.8753], [0.0000, -9.3792, 3.8753]],
  "species": ["H", "H", "H", "H", "H", "H", "Xe", "Xe", "Xe", "Xe", "Xe", "Xe", "F", "F", "F", "F", "F", "F", "F", "F", "F", "F", "F", "F", "F", "F", "F", "F", "F", "F", "F", "F", "F", "F", "F", "F", "F", "F", "F", "F", "F", "F", "F", "F", "F", "F", "F", "F", "F", "F", "F", "F", "F", "F"],
  "fractional_positions": [[0.1694, 0.5719, 0.5942], [0.4058, 0.8306, 0.4281], [0.4281, 0.4058, 0.8306], [0.5719, 0.5942, 0.1694], [0.5942, 0.1694, 0.5719], [0.8306, 0.4281, 0.4058], [0.0065, 0.7722, 0.6264], [0.2278, 0.3736, 0.9935], [0.3736, 0.9935, 0.2278], [0.6264, 0.0065, 0.7722], [0.7722, 0.6264, 0.0065], [0.9935, 0.2278, 0.3736], [0.0093, 0.0740, 0.2196], [0.0577, 0.3169, 0.8022], [0.0696, 0.7045, 0.7914], [0.0740, 0.2196, 0.0093], [0.0774, 0.4231, 0.5748], [0.0874, 0.1436, 0.5075], [0.1436, 0.5075, 0.0874], [0.1962, 0.3363, 0.3920], [0.1978, 0.9423, 0.6831], [0.2086, 0.9304, 0.2955], [0.2116, 0.6754, 0.6053], [0.2196, 0.0093, 0.0740], [0.2955, 0.2086, 0.9304], [0.3169, 0.8022, 0.0577], [0.3246, 0.3947, 0.7884], [0.3363, 0.3920, 0.1962], [0.3920, 0.1962, 0.3363], [0.3947, 0.7884, 0.3246], [0.4231, 0.5748, 0.0774], [0.4252, 0.9226, 0.5769], [0.4925, 0.9126, 0.8564], [0.5075, 0.0874, 0.1436], [0.5748, 0.0774, 0.4231], [0.5769, 0.4252, 0.9226], [0.6053, 0.2116, 0.6754], [0.6080, 0.8038, 0.6637], [0.6637, 0.6080, 0.8038], [0.6754, 0.6053, 0.2116], [0.6831, 0.1978, 0.9423], [0.7045, 0.7914, 0.0696], [0.7804, 0.9907, 0.9260], [0.7884, 0.3246, 0.3947], [0.7914, 0.0696, 0.7045], [0.8022, 0.0577, 0.3169], [0.8038, 0.6637, 0.6080], [0.8564, 0.4925, 0.9126], [0.9126, 0.8564, 0.4925], [0.9226, 0.5769, 0.4252], [0.9260, 0.7804, 0.9907], [0.9304, 0.2955, 0.2086], [0.9423, 0.6831, 0.1978], [0.9907, 0.9260, 0.7804]],
  "volume_a3_per_atom": 16.4,
  "energy_ev_per_atom": -6.099,
  "e_form_ev_per_atom": -0.63
}

=====

{
  "formula": "MnNb3P6O24",
  "functional": "meta-GGA r2SCAN",
  "state": "relaxed",
  "lattice_angstrom": [[4.3208, 2.4946, 7.3918], [-4.3208, 2.4946, 7.3918], [0.0000, -4.9892, 7.3918]],
  "species": ["Mn", "Nb", "Nb", "Nb", "P", "P", "P", "P", "P", "P", "O", "O", "O", "O", "O", "O", "O", "O", "O", "O", "O", "O", "O", "O", "O", "O", "O", "O", "O", "O", "O", "O", "O", "O"],
  "fractional_positions": [[0.0000, 0.0000, 0.0000], [0.2852, 0.2852, 0.2852], [0.5023, 0.5023, 0.5023], [0.7822, 0.7822, 0.7822], [0.1104, 0.6822, 0.3844], [0.1748, 0.6209, 0.8909], [0.3844, 0.1104, 0.6822], [0.6209, 0.8909, 0.1748], [0.6822, 0.3844, 0.1104], [0.8909, 0.1748, 0.6209], [0.0137, 0.6448, 0.8525], [0.0768, 0.1846, 0.4518], [0.1118, 0.8418, 0.2018], [0.1351, 0.4986, 0.3827], [0.1587, 0.7961, 0.8913], [0.1846, 0.4518, 0.0768], [0.2018, 0.1118, 0.8418], [0.2686, 0.6399, 0.4400], [0.3606, 0.5596, 0.7357], [0.3827, 0.1351, 0.4986], [0.4400, 0.2686, 0.6399], [0.4518, 0.0768, 0.1846], [0.4986, 0.3827, 0.1351], [0.5489, 0.9247, 0.7258], [0.5596, 0.7357, 0.3606], [0.6399, 0.4400, 0.2686], [0.6448, 0.8525, 0.0137], [0.7258, 0.5489, 0.9247], [0.7357, 0.3606, 0.5596], [0.7961, 0.8913, 0.1587], [0.8418, 0.2018, 0.1118], [0.8525, 0.0137, 0.6448], [0.8913, 0.1587, 0.7961], [0.9247, 0.7258, 0.5489]],
  "volume_a3_per_atom": 14.1,
  "energy_ev_per_atom": -10.939,
  "e_form_ev_per_atom": -2.52
}

=====

{
  "formula": "Sr3CdO4",
  "functional": "meta-GGA r2SCAN",
  "state": "relaxed",
  "lattice_angstrom": [[5.0624, 0.0000, 0.0000], [0.0000, 5.0624, 0.0000], [0.0000, 0.0000, 5.0624]],
  "species": ["Sr", "Sr", "Sr", "Cd", "O", "O", "O", "O"],
  "fractional_positions": [[0.0000, 0.0000, 0.5000], [0.0000, 0.5000, 0.0000], [0.5000, 0.0000, 0.0000], [0.5000, 0.5000, 0.5000], [0.0000, 0.0000, 0.0000], [0.0000, 0.5000, 0.5000], [0.5000, 0.0000, 0.5000], [0.5000, 0.5000, 0.0000]],
  "volume_a3_per_atom": 16.2,
  "energy_ev_per_atom": -13.685,
  "e_form_ev_per_atom": -2.51
}

=====

{
  "formula": "Hf3ScSi4",
  "functional": "meta-GGA r2SCAN",
  "state": "relaxed",
  "lattice_angstrom": [[5.2609, 0.0000, 0.0000], [0.0000, 3.7242, 0.0000], [-0.0422, 0.0000, 6.9893]],
  "species": ["Hf", "Hf", "Hf", "Sc", "Si", "Si", "Si", "Si"],
  "fractional_positions": [[0.0000, 0.0000, 0.0000], [0.2444, 0.5000, 0.6487], [0.4951, 0.5000, 0.1432], [0.7456, 0.0000, 0.4991], [0.2603, 0.0000, 0.3643], [0.4823, 0.0000, 0.8655], [0.7589, 0.5000, 0.7820], [0.9812, 0.5000, 0.2812]],
  "volume_a3_per_atom": 17.1,
  "energy_ev_per_atom": -23.585,
  "e_form_ev_per_atom": -0.84
}

=====

{
  "formula": "EuBr2",
  "functional": "meta-GGA r2SCAN",
  "state": "relaxed",
  "lattice_angstrom": [[7.0803, 0.0000, 0.0000], [0.0000, 7.0803, 0.0000], [0.0000, 0.0000, 4.5870]],
  "species": ["Eu", "Eu", "Br", "Br", "Br", "Br"],
  "fractional_positions": [[0.0000, 0.0000, 0.0000], [0.5000, 0.5000, 0.5000], [0.1976, 0.1976, 0.5000], [0.3024, 0.6976, 0.0000], [0.6976, 0.3024, 0.0000], [0.8024, 0.8024, 0.5000]],
  "volume_a3_per_atom": 38.3,
  "energy_ev_per_atom": -23.984,
  "e_form_ev_per_atom": -2.30
}

=====

{
  "formula": "Ba3As14",
  "functional": "meta-GGA r2SCAN",
  "state": "relaxed",
  "lattice_angstrom": [[6.9096, 0.0000, 0.0000], [0.0000, 13.8420, 0.0000], [-6.8346, 0.0000, 10.3859]],
  "species": ["Ba", "Ba", "Ba", "Ba", "Ba", "Ba", "As", "As", "As", "As", "As", "As", "As", "As", "As", "As", "As", "As", "As", "As", "As", "As", "As", "As", "As", "As", "As", "As", "As", "As", "As", "As", "As", "As"],
  "fractional_positions": [[0.0000, 0.0000, 0.0000], [0.0000, 0.5000, 0.5000], [0.1941, 0.1566, 0.3823], [0.1941, 0.3434, 0.8823], [0.8059, 0.6566, 0.1177], [0.8059, 0.8434, 0.6177], [0.0424, 0.1464, 0.6434], [0.0424, 0.3536, 0.1434], [0.2592, 0.2212, 0.1352], [0.2592, 0.2788, 0.6352], [0.2867, 0.0002, 0.6854], [0.2867, 0.4998, 0.1854], [0.3123, 0.0811, 0.8697], [0.3123, 0.4189, 0.3697], [0.3488, 0.7179, 0.7235], [0.3488, 0.7821, 0.2235], [0.3579, 0.6849, 0.5338], [0.3579, 0.8151, 0.0338], [0.3932, 0.5593, 0.8209], [0.3932, 0.9407, 0.3209], [0.6068, 0.0593, 0.6791], [0.6068, 0.4407, 0.1791], [0.6421, 0.1849, 0.9662], [0.6421, 0.3151, 0.4662], [0.6512, 0.2179, 0.7765], [0.6512, 0.2821, 0.2765], [0.6877, 0.5811, 0.6303], [0.6877, 0.9189, 0.1303], [0.7133, 0.9998, 0.3146], [0.7133, 0.5002, 0.8146], [0.7408, 0.7212, 0.3648], [0.7408, 0.7788, 0.8648], [0.9576, 0.6464, 0.8566], [0.9576, 0.8536, 0.3566]],
  "volume_a3_per_atom": 29.2,
  "energy_ev_per_atom": -17.337,
  "e_form_ev_per_atom": -0.55
}